Entry from the Materials Project database: a geometry-optimized Li6MnV3P6O24 structure (PBE+U).

Geometry as CIF:
```
data_Li6MnV3P6O24
_chemical_formula_sum 'Li12 Mn2 V6 P12 O48'
_symmetry_space_group_name_H-M 'P 1'
_symmetry_Int_Tables_number 1
_cell_length_a 9.804
_cell_length_b 9.832
_cell_length_c 9.842
_cell_angle_alpha 84.63
_cell_angle_beta 86.97
_cell_angle_gamma 87.01
loop_
_symmetry_equiv_pos_as_xyz
'x,y,z'
loop_
_atom_site_label
_atom_site_fract_x
_atom_site_fract_y
_atom_site_fract_z
Li1 0.000 0.000 0.000
Li2 0.008 0.639 0.489
Li3 0.062 0.770 0.223
Li4 0.213 0.517 0.250
Li5 0.284 0.830 0.020
Li6 0.356 0.480 0.668
Li7 0.437 0.262 0.977
Li8 0.584 0.281 0.725
Li9 0.632 0.016 0.855
Li10 0.645 0.498 0.500
Li11 0.800 0.195 0.533
Li12 0.847 0.970 0.308
Mn1 0.099 0.242 0.493
Mn2 0.602 0.529 0.206
V1 0.039 0.296 0.984
V2 0.317 0.017 0.488
V3 0.318 0.800 0.704
V4 0.539 0.015 0.268
V5 0.819 0.513 0.988
V6 0.819 0.733 0.771
P1 0.015 0.917 0.555
P2 0.121 0.610 0.919
P3 0.227 0.083 0.182
P4 0.249 0.105 0.791
P5 0.393 0.712 0.402
P6 0.421 0.320 0.410
P7 0.518 0.584 0.893
P8 0.623 0.950 0.583
P9 0.726 0.210 0.058
P10 0.746 0.818 0.082
P11 0.893 0.428 0.685
P12 0.915 0.439 0.288
O1 0.006 0.551 0.323
O2 0.031 0.382 0.623
O3 0.110 0.148 0.858
O4 0.151 0.453 0.923
O5 0.163 0.221 0.123
O6 0.164 0.960 0.127
O7 0.169 0.671 0.044
O8 0.178 0.890 0.566
O9 0.186 0.669 0.781
O10 0.197 0.078 0.341
O11 0.242 0.135 0.628
O12 0.265 0.353 0.409
O13 0.266 0.945 0.827
O14 0.272 0.673 0.327
O15 0.370 0.676 0.562
O16 0.372 0.177 0.830
O17 0.385 0.086 0.148
O18 0.402 0.875 0.370
O19 0.449 0.157 0.406
O20 0.451 0.722 0.836
O21 0.460 0.939 0.611
O22 0.472 0.459 0.829
O23 0.482 0.384 0.271
O24 0.486 0.366 0.535
O25 0.488 0.576 0.050
O26 0.533 0.645 0.365
O27 0.612 0.878 0.146
O28 0.634 0.174 0.947
O29 0.662 0.969 0.427
O30 0.663 0.073 0.654
O31 0.679 0.593 0.858
O32 0.682 0.812 0.642
O33 0.693 0.136 0.200
O34 0.699 0.368 0.066
O35 0.741 0.656 0.113
O36 0.747 0.855 0.923
O37 0.759 0.470 0.324
O38 0.767 0.364 0.634
O39 0.876 0.866 0.139
O40 0.879 0.587 0.649
O41 0.881 0.172 0.025
O42 0.897 0.392 0.846
O43 0.945 0.429 0.128
O44 0.947 0.297 0.362
O45 0.958 0.855 0.694
O46 0.960 0.646 0.913
O47 0.974 0.070 0.537
O48 0.977 0.842 0.432
```

## Properties
DFT formation energy ... -2643.6 meV per atom
Energy with MP2020 corrections ... -7.621 eV per atom
Calculated total energy ... -7.04 eV per atom
Magnetic moment ... 20.0 μB/cell
V ... 11.78 Å³/atom


Entry from the Materials Project database: a geometry-optimized Li3MnVP3O12 structure (PBE+U).

Geometry as CIF:
```
data_Li3MnVP3O12
_chemical_formula_sum 'Li12 Mn4 V4 P12 O48'
_symmetry_space_group_name_H-M 'P 1'
_symmetry_Int_Tables_number 1
_cell_length_a 8.559
_cell_length_b 8.841
_cell_length_c 12.386
_cell_angle_alpha 89.84
_cell_angle_beta 87.53
_cell_angle_gamma 89.57
loop_
_symmetry_equiv_pos_as_xyz
'x,y,z'
loop_
_atom_site_label
_atom_site_fract_x
_atom_site_fract_y
_atom_site_fract_z
Li1 0.000 0.000 0.000
Li2 0.001 0.022 0.500
Li3 0.202 0.306 0.941
Li4 0.228 0.699 0.434
Li5 0.478 0.616 0.744
Li6 0.492 0.503 0.003
Li7 0.498 0.505 0.498
Li8 0.516 0.400 0.239
Li9 0.763 0.698 0.059
Li10 0.772 0.318 0.544
Li11 0.993 0.104 0.254
Li12 0.996 0.911 0.762
Mn1 0.206 0.504 0.140
Mn2 0.282 0.004 0.351
Mn3 0.283 0.006 0.851
Mn4 0.779 0.512 0.352
V1 0.206 0.509 0.639
V2 0.702 0.007 0.642
V3 0.707 0.006 0.141
V4 0.776 0.504 0.852
P1 0.134 0.365 0.394
P2 0.139 0.647 0.895
P3 0.329 0.866 0.602
P4 0.330 0.149 0.107
P5 0.488 0.311 0.747
P6 0.500 0.702 0.246
P7 0.646 0.150 0.390
P8 0.656 0.861 0.893
P9 0.836 0.653 0.603
P10 0.837 0.353 0.094
P11 0.986 0.217 0.744
P12 0.999 0.797 0.245
O1 0.010 0.392 0.084
O2 0.012 0.617 0.596
O3 0.050 0.120 0.836
O4 0.072 0.900 0.333
O5 0.104 0.317 0.684
O6 0.118 0.699 0.180
O7 0.123 0.819 0.910
O8 0.133 0.193 0.412
O9 0.212 0.415 0.285
O10 0.222 0.908 0.700
O11 0.226 0.603 0.787
O12 0.230 0.099 0.013
O13 0.230 0.454 0.478
O14 0.237 0.562 0.981
O15 0.238 0.104 0.213
O16 0.240 0.920 0.500
O17 0.346 0.327 0.095
O18 0.348 0.690 0.586
O19 0.361 0.229 0.814
O20 0.369 0.786 0.308
O21 0.423 0.419 0.657
O22 0.445 0.591 0.159
O23 0.480 0.089 0.388
O24 0.487 0.909 0.891
O25 0.493 0.928 0.611
O26 0.497 0.088 0.107
O27 0.562 0.426 0.828
O28 0.573 0.598 0.336
O29 0.612 0.210 0.688
O30 0.625 0.803 0.189
O31 0.632 0.327 0.401
O32 0.653 0.682 0.910
O33 0.740 0.099 0.488
O34 0.740 0.436 0.005
O35 0.740 0.557 0.526
O36 0.743 0.102 0.287
O37 0.749 0.912 0.992
O38 0.751 0.910 0.790
O39 0.754 0.407 0.200
O40 0.763 0.612 0.717
O41 0.822 0.826 0.582
O42 0.828 0.179 0.078
O43 0.856 0.320 0.799
O44 0.878 0.701 0.307
O45 0.916 0.111 0.658
O46 0.928 0.908 0.162
O47 0.957 0.408 0.403
O48 0.968 0.586 0.899
```

## Properties
DFT formation energy ... -2608.9 meV per atom
Energy with MP2020 corrections ... -7.588 eV per atom
Calculated total energy ... -7.01 eV per atom
Magnetic moment ... 24.0 μB/cell
V ... 11.70 Å³/atom


Entry from the Materials Project database: a geometry-optimized Li3MnVP3O12 structure (PBE+U).

Geometry as CIF:
```
data_Li3MnVP3O12
_chemical_formula_sum 'Li12 Mn4 V4 P12 O48'
_symmetry_space_group_name_H-M 'P 1'
_symmetry_Int_Tables_number 1
_cell_length_a 8.663
_cell_length_b 8.672
_cell_length_c 12.645
_cell_angle_alpha 105.85
_cell_angle_beta 105.76
_cell_angle_gamma 95.53
loop_
_symmetry_equiv_pos_as_xyz
'x,y,z'
loop_
_atom_site_label
_atom_site_fract_x
_atom_site_fract_y
_atom_site_fract_z
Li1 0.000 0.000 0.000
Li2 0.000 0.000 0.500
Li3 0.000 0.997 0.750
Li4 0.207 0.788 0.122
Li5 0.211 0.791 0.625
Li6 0.499 0.495 0.122
Li7 0.499 0.502 0.624
Li8 0.503 0.493 0.373
Li9 0.503 0.499 0.874
Li10 0.787 0.207 0.371
Li11 0.791 0.211 0.876
Li12 0.999 0.998 0.247
Mn1 0.126 0.440 0.184
Mn2 0.554 0.874 0.563
Mn3 0.555 0.874 0.063
Mn4 0.874 0.553 0.815
V1 0.123 0.440 0.682
V2 0.441 0.121 0.929
V3 0.442 0.122 0.428
V4 0.877 0.554 0.317
P1 0.162 0.360 0.429
P2 0.165 0.357 0.933
P3 0.210 0.786 0.874
P4 0.211 0.786 0.373
P5 0.360 0.164 0.680
P6 0.367 0.165 0.182
P7 0.632 0.836 0.815
P8 0.639 0.836 0.317
P9 0.786 0.210 0.123
P10 0.787 0.210 0.624
P11 0.834 0.634 0.064
P12 0.836 0.630 0.568
O1 0.036 0.756 0.885
O2 0.037 0.761 0.385
O3 0.044 0.199 0.898
O4 0.044 0.201 0.395
O5 0.100 0.450 0.335
O6 0.115 0.446 0.840
O7 0.162 0.481 0.049
O8 0.163 0.484 0.545
O9 0.202 0.044 0.646
O10 0.205 0.050 0.149
O11 0.231 0.961 0.865
O12 0.233 0.672 0.262
O13 0.234 0.961 0.362
O14 0.239 0.674 0.765
O15 0.326 0.763 0.484
O16 0.326 0.766 0.987
O17 0.341 0.348 0.700
O18 0.344 0.342 0.442
O19 0.348 0.339 0.953
O20 0.357 0.350 0.204
O21 0.445 0.113 0.585
O22 0.449 0.109 0.085
O23 0.486 0.162 0.794
O24 0.493 0.154 0.294
O25 0.511 0.840 0.699
O26 0.517 0.833 0.200
O27 0.543 0.901 0.909
O28 0.547 0.898 0.410
O29 0.642 0.653 0.800
O30 0.649 0.645 0.044
O31 0.653 0.639 0.553
O32 0.658 0.655 0.306
O33 0.675 0.238 0.516
O34 0.676 0.236 0.013
O35 0.757 0.034 0.634
O36 0.760 0.033 0.131
O37 0.760 0.322 0.233
O38 0.766 0.324 0.737
O39 0.795 0.949 0.851
O40 0.799 0.955 0.353
O41 0.841 0.511 0.950
O42 0.843 0.508 0.454
O43 0.888 0.550 0.160
O44 0.902 0.544 0.664
O45 0.950 0.792 0.603
O46 0.950 0.795 0.100
O47 0.963 0.230 0.616
O48 0.964 0.235 0.116
```

## Properties
DFT formation energy ... -2613.2 meV per atom
Energy with MP2020 corrections ... -7.593 eV per atom
Calculated total energy ... -7.01 eV per atom
Magnetic moment ... 24.0 μB/cell
V ... 10.80 Å³/atom


Entry from the Materials Project database: a geometry-optimized Li3MnVP3O12 structure (PBE+U).

Geometry as CIF:
```
data_Li3MnVP3O12
_chemical_formula_sum 'Li12 Mn4 V4 P12 O48'
_symmetry_space_group_name_H-M 'P 1'
_symmetry_Int_Tables_number 1
_cell_length_a 8.681
_cell_length_b 8.698
_cell_length_c 15.168
_cell_angle_alpha 73.46
_cell_angle_beta 74.63
_cell_angle_gamma 61.32
loop_
_symmetry_equiv_pos_as_xyz
'x,y,z'
loop_
_atom_site_label
_atom_site_fract_x
_atom_site_fract_y
_atom_site_fract_z
Li1 0.000 0.000 0.000
Li2 0.011 0.092 0.367
Li3 0.040 0.792 0.637
Li4 0.088 0.516 0.443
Li5 0.129 0.370 0.130
Li6 0.196 0.134 0.793
Li7 0.499 0.499 0.502
Li8 0.511 0.590 0.868
Li9 0.538 0.290 0.138
Li10 0.587 0.019 0.943
Li11 0.626 0.872 0.631
Li12 0.693 0.635 0.294
Mn1 0.111 0.723 0.886
Mn2 0.306 0.902 0.488
Mn3 0.552 0.155 0.736
Mn4 0.611 0.223 0.386
V1 0.045 0.659 0.236
V2 0.359 0.978 0.133
V3 0.801 0.403 0.991
V4 0.858 0.475 0.634
P1 0.232 0.270 0.937
P2 0.302 0.219 0.289
P3 0.311 0.214 0.575
P4 0.340 0.660 0.047
P5 0.349 0.675 0.337
P6 0.426 0.598 0.689
P7 0.733 0.768 0.437
P8 0.803 0.720 0.789
P9 0.813 0.719 0.076
P10 0.843 0.157 0.547
P11 0.849 0.171 0.837
P12 0.925 0.106 0.187
O1 0.034 0.008 0.849
O2 0.035 0.008 0.536
O3 0.062 0.240 0.957
O4 0.094 0.139 0.164
O5 0.118 0.359 0.571
O6 0.126 0.392 0.281
O7 0.187 0.461 0.938
O8 0.207 0.627 0.323
O9 0.230 0.572 0.122
O10 0.251 0.084 0.364
O11 0.266 0.751 0.430
O12 0.283 0.721 0.949
O13 0.299 0.712 0.617
O14 0.320 0.827 0.071
O15 0.339 0.199 0.846
O16 0.341 0.642 0.787
O17 0.350 0.037 0.549
O18 0.353 0.154 0.014
O19 0.358 0.155 0.674
O20 0.377 0.163 0.191
O21 0.392 0.808 0.255
O22 0.427 0.300 0.504
O23 0.452 0.250 0.308
O24 0.482 0.402 0.682
O25 0.530 0.511 0.351
O26 0.533 0.510 0.037
O27 0.566 0.735 0.455
O28 0.595 0.633 0.664
O29 0.620 0.862 0.073
O30 0.623 0.895 0.781
O31 0.687 0.959 0.438
O32 0.711 0.121 0.824
O33 0.733 0.068 0.620
O34 0.751 0.586 0.867
O35 0.769 0.247 0.929
O36 0.782 0.223 0.448
O37 0.797 0.224 0.114
O38 0.820 0.326 0.572
O39 0.836 0.149 0.285
O40 0.843 0.699 0.346
O41 0.851 0.542 0.051
O42 0.854 0.651 0.514
O43 0.858 0.663 0.176
O44 0.873 0.663 0.692
O45 0.891 0.306 0.754
O46 0.928 0.805 0.005
O47 0.952 0.751 0.807
O48 0.979 0.912 0.180
```

## Properties
DFT formation energy ... -2616.7 meV per atom
Energy with MP2020 corrections ... -7.596 eV per atom
Calculated total energy ... -7.02 eV per atom
Magnetic moment ... 24.0 μB/cell
V ... 11.90 Å³/atom